# NbAlCo4

A geometry-optimized NbAlCo4 structure (PBE, the Materials Project database).

The structure belongs to space group P-3m1 (No. 164); the cell edges are 4.7308, 4.7308 and 7.6484 Å and the angles 90.00°, 90.00° and 120.00°. The distinct sites, in fractional coordinates, are Nb at (0.3333, 0.6667, 0.4146), Al at (0.3333, 0.6667, 0.0515), Co at (0.0000, 0.0000, 0.0000), Co at (0.0000, 0.0000, 0.5000) and Co at (0.1694, 0.3389, 0.7523).

The value obtained for the final energy is -7.25 eV/atom. Its magnetic moment is 3.9 Bohr magnetons per cell.